DFT (meta-GGA r2SCAN) results for CdPd after structural relaxation.

Computed properties:
total magnetic moment: 0.000 μB per cell
electronic total energy: -87.9 eV per cell

The structure in POSCAR format:
```
CdPd
1.0
-2.1928 2.4859 -1.6290
-3.3750 -2.5907 0.5898
-0.7457 1.8387 3.8096
Cd Pd
2 2
Cartesian
-2.0603 -0.3760 2.1997
0.0000 0.0000 0.0000
-1.4693 2.1623 1.0903
-2.7839 -0.0524 -0.5196
```